A plane-wave DFT calculation with PBE-GGA was carried out for a geometry-optimized Ba2AlSn3O7 structure.

abc: 4.161 4.360 11.580
angles: 90.00 90.00 90.00
Fractional coordinates of all 13 atoms:
Ba  0.000  0.000  0.189
Ba  0.000  0.000  0.811
Al  0.000  0.000  0.500
Sn  0.500  0.500  0.000
Sn  0.500  0.500  0.378
Sn  0.500  0.500  0.622
O  0.000  0.500  0.375
O  0.000  0.500  0.625
O  0.500  0.000  0.000
O  0.500  0.000  0.381
O  0.500  0.000  0.619
O  0.500  0.500  0.199
O  0.500  0.500  0.801

Results
SG ... Pmmm (47)
ΔH_f (0 K) ... -1942 meV/atom
Electronic total energy ... -5.7445 eV/atom